Record 1
DFT (GGA-PBE) results for a relaxed structure of CaTi4O9.

```
CaTi4O9
1.0
8.521 0.000 0.000
0.000 8.521 0.000
0.000 0.000 5.231
Ca Ti O
2 8 18
Direct
0.000 0.500 0.133
0.500 0.000 0.867
0.590 0.283 0.380
0.410 0.717 0.380
0.783 0.910 0.380
0.717 0.590 0.620
0.910 0.217 0.620
0.090 0.783 0.620
0.283 0.410 0.620
0.217 0.090 0.380
0.294 0.894 0.536
0.106 0.294 0.464
0.241 0.431 0.930
0.706 0.106 0.536
0.259 0.069 0.070
0.394 0.206 0.536
0.606 0.794 0.536
0.431 0.759 0.070
0.931 0.259 0.930
0.500 0.500 0.500
0.569 0.241 0.070
0.741 0.931 0.070
0.069 0.741 0.930
0.206 0.606 0.464
0.759 0.569 0.930
0.000 0.000 0.500
0.794 0.394 0.464
0.894 0.706 0.464
```

Space group ... P4/n, No. 85
DFT formation energy ... -3.44 eV per atom



Record 2
DFT (GGA-PBE) results for a relaxed structure of UCo6Ge6.

```
UCo6Ge6
1.0
-2.057 3.614 -2.945
-2.879 -2.442 3.423
1.816 5.440 5.409
Ge Co U
6 6 1
Direct
0.667 0.333 0.500
0.333 0.667 0.500
0.667 0.333 0.000
0.333 0.667 0.000
0.000 0.000 0.654
0.000 0.000 0.346
0.000 0.500 0.250
0.500 0.500 0.250
0.000 0.500 0.750
0.500 0.500 0.750
0.500 0.000 0.750
0.500 0.000 0.250
0.000 0.000 0.000
```

Space group ... P6/mmm, No. 191
DFT formation energy ... -0.22 eV per atom



Record 3
DFT (GGA-PBE) results for a relaxed structure of InAu3.

```
InAu3
1.0
1.580 -2.737 0.000
1.580 2.737 0.000
0.000 0.000 9.058
Au In
3 1
Direct
0.333 0.667 0.248
0.667 0.333 0.500
0.333 0.667 0.752
0.667 0.333 0.000
```

Space group ... P-6m2, No. 187
DFT formation energy ... 0.01 eV per atom



Record 4
DFT (GGA-PBE) results for a relaxed structure of CeMg6Ga.

```
CeMg6Ga
1.0
3.281 -5.788 0.000
3.281 5.788 0.000
0.000 0.000 4.967
Ce Mg Ga
1 6 1
Direct
0.179 0.821 0.000
0.815 0.662 0.500
0.830 0.170 0.500
0.666 0.818 0.000
0.338 0.185 0.500
0.663 0.337 0.000
0.182 0.334 0.000
0.328 0.672 0.500
```

ΔE to the lowest computed polymorph ... 0.000 eV/atom
Space group ... Amm2, No. 38
DFT formation energy ... -0.01 eV per atom



Record 5
DFT (GGA-PBE) results for a relaxed structure of Ce3Sn13Rh4.

```
Ce3Sn13Rh4
1.0
-9.199 -2.588 -2.098
2.677 -9.410 -0.126
-1.984 -0.693 9.555
Sn Rh Ce
26 8 6
Direct
0.652 0.192 0.500
0.192 0.500 0.348
0.000 0.308 0.848
0.808 0.500 0.348
0.000 0.692 0.848
0.152 0.000 0.308
0.348 0.192 0.500
0.692 0.152 0.000
0.192 0.500 0.652
0.652 0.808 0.500
0.000 0.000 0.000
0.500 0.348 0.808
0.500 0.652 0.808
0.308 0.848 0.000
0.348 0.808 0.500
0.000 0.308 0.152
0.308 0.152 0.000
0.808 0.500 0.652
0.848 0.000 0.692
0.000 0.692 0.152
0.500 0.652 0.192
0.152 0.000 0.692
0.848 0.000 0.308
0.500 0.348 0.192
0.500 0.500 0.500
0.692 0.848 0.000
0.250 0.250 0.750
0.750 0.750 0.750
0.250 0.250 0.250
0.750 0.250 0.750
0.250 0.750 0.750
0.250 0.750 0.250
0.750 0.750 0.250
0.750 0.250 0.250
0.750 0.500 0.000
0.000 0.250 0.500
0.250 0.500 0.000
0.500 0.000 0.250
0.000 0.750 0.500
0.500 0.000 0.750
```

Space group ... Pm-3n, No. 223
DFT formation energy ... -0.55 eV per atom



Record 6
DFT (GGA-PBE) results for a relaxed structure of Ba2TbZrO6.

```
Ba2TbZrO6
1.0
8.715 0.000 0.000
0.000 8.715 0.000
0.000 0.000 8.715
Zr O Ba Tb
4 24 8 4
Direct
0.250 0.750 0.750
0.750 0.250 0.750
0.250 0.250 0.250
0.750 0.750 0.250
0.008 0.266 0.233
0.992 0.734 0.233
0.234 0.733 0.508
0.233 0.008 0.266
0.492 0.234 0.267
0.508 0.766 0.267
0.992 0.266 0.767
0.766 0.733 0.492
0.734 0.767 0.008
0.766 0.267 0.508
0.267 0.492 0.234
0.733 0.492 0.766
0.734 0.233 0.992
0.267 0.508 0.766
0.508 0.234 0.733
0.733 0.508 0.234
0.767 0.008 0.734
0.234 0.267 0.492
0.266 0.233 0.008
0.233 0.992 0.734
0.266 0.767 0.992
0.767 0.992 0.266
0.008 0.734 0.767
0.492 0.766 0.733
0.000 0.000 0.000
0.500 0.000 0.500
0.000 0.500 0.000
0.000 0.500 0.500
0.500 0.000 0.000
0.000 0.000 0.500
0.500 0.500 0.500
0.500 0.500 0.000
0.750 0.250 0.250
0.250 0.750 0.250
0.750 0.750 0.750
0.250 0.250 0.750
```

Space group ... Pn-3, No. 201
DFT formation energy ... -3.38 eV per atom



Record 7
DFT (GGA-PBE) results for a relaxed structure of Ba3YI9.

```
Ba3YI9
1.0
7.986 0.000 0.000
0.000 8.596 0.000
0.000 1.128 33.654
I Ba Y
36 12 4
Direct
0.807 0.987 0.626
0.735 0.595 0.513
0.752 0.062 0.511
0.795 0.975 0.867
0.695 0.532 0.627
0.188 0.979 0.254
0.674 0.515 0.866
0.223 0.655 0.598
0.337 0.845 0.891
0.698 0.888 0.995
0.248 0.062 0.011
0.193 0.987 0.126
0.605 0.140 0.298
0.599 0.840 0.209
0.395 0.140 0.798
0.827 0.649 0.297
0.641 0.118 0.098
0.173 0.649 0.797
0.688 0.521 0.753
0.812 0.979 0.754
0.401 0.840 0.709
0.149 0.342 0.901
0.893 0.319 0.198
0.265 0.595 0.013
0.302 0.888 0.495
0.205 0.975 0.367
0.851 0.342 0.401
0.359 0.118 0.598
0.237 0.398 0.490
0.312 0.521 0.253
0.777 0.655 0.098
0.663 0.845 0.391
0.763 0.398 0.990
0.305 0.532 0.127
0.326 0.515 0.366
0.107 0.319 0.698
0.998 0.707 0.192
0.970 0.681 0.933
0.471 0.216 0.192
0.030 0.681 0.433
0.986 0.317 0.571
0.519 0.178 0.930
0.018 0.285 0.308
0.002 0.707 0.692
0.481 0.178 0.430
0.529 0.216 0.692
0.982 0.285 0.808
0.014 0.317 0.071
0.517 0.800 0.806
0.455 0.826 0.066
0.545 0.826 0.566
0.483 0.800 0.306
```

ΔE to the lowest computed polymorph ... 0.000 eV/atom
Space group ... Pc, No. 7
DFT formation energy ... -1.90 eV per atom



Record 8
DFT (GGA-PBE) results for a relaxed structure of Ca6Cr2HN6.

```
Ca6Cr2HN6
1.0
4.496 2.596 3.073
-4.496 2.596 3.073
0.000 -5.192 3.073
Ca N H Cr
6 6 1 2
Direct
0.109 0.787 0.626
0.787 0.626 0.109
0.626 0.109 0.787
0.374 0.891 0.213
0.213 0.374 0.891
0.891 0.213 0.374
0.275 0.153 0.529
0.725 0.847 0.471
0.153 0.529 0.275
0.529 0.275 0.153
0.471 0.725 0.847
0.847 0.471 0.725
0.000 0.000 0.000
0.622 0.622 0.622
0.378 0.378 0.378
```

Space group ... R-3, No. 148
DFT formation energy ... -1.08 eV per atom



Which formula does entry 8 have? Ca6Cr2HN6



Among the records above, which one has the highest DFT formation energy? InAu3